Entry 1:
Here is RbPH2O4 after structural relaxation from Materials Project. Energies are from PBE.

Summary:
For the energy of formation from the pure elements, the calculation gives -2.182 eV per atom. The value obtained for the total energy is -0.4381 Ry per atom. The piezoelectric modulus e_max comes out at 0.180 C/m². Its energy above the most stable polymorph in this dataset is 6.6 meV/atom.

a = 6.5649 Å, b = 6.5649 Å, c = 6.5649 Å
α = 108.94°, β = 108.94°, γ = 110.54°
With the nearest neighbours (Å) after each atom.
Fractional coordinates of all 16 atoms:
Rb1 0.7500 0.2500 0.5000  8 O 3.00-3.13
Rb2 0.5000 0.5000 0.0000  8 O 3.00-3.13
P1 0.2500 0.7500 0.5000  4 O 1.56
P2 0.0000 0.0000 0.0000  4 O 1.56
H1 0.1250 0.7401 0.1151  2 O 1.21
H2 0.6250 0.0099 0.8849  2 O 1.21
H3 0.2599 0.3750 0.3849  2 O 1.21
H4 0.9901 0.8750 0.6151  2 O 1.21
O1 0.2762 0.7275 0.2676  1 H 1.21
O2 0.9738 0.7414 0.9513  1 H 1.21
O3 0.4599 0.0086 0.7324  1 H 1.21
O4 0.7901 0.0225 0.0487  1 H 1.21
O5 0.2725 0.5401 0.5487  1 H 1.21
O6 0.9775 0.0262 0.7676  1 H 1.21
O7 0.9914 0.7238 0.4513  1 H 1.21
O8 0.2586 0.2099 0.2324  1 H 1.21

Entry 2:
Here is Na2ZnSb2 after structural relaxation from Materials Project. Energies are from PBE.

Summary:
For the energy of formation from the pure elements, the calculation gives 0.779 eV per atom. The value obtained for the total energy is -0.1159 Ry per atom.

a = 6.5774 Å, b = 6.5774 Å, c = 14.6914 Å
α = 90.00°, β = 90.00°, γ = 90.00°
With the nearest neighbours (Å) after each atom.
Fractional coordinates of all 5 atoms:
Na1 0.0000 0.0000 0.6257  1 Sb 2.99
Na2 0.0000 0.0000 0.3743  1 Sb 2.99
Zn1 0.0000 0.0000 0.0000  2 Sb 2.51
Sb1 0.0000 0.0000 0.1711  1 Zn 2.51
Sb2 0.0000 0.0000 0.8289  1 Zn 2.51

Entry 3:
Here is Tb2CoGe4 after structural relaxation from Materials Project. Energies are from PBE.

Summary:
For the energy of formation from the pure elements, the calculation gives -0.656 eV per atom. The value obtained for the total energy is -0.4143 Ry per atom.

a = 4.1209 Å, b = 4.1484 Å, c = 8.2512 Å
α = 75.44°, β = 90.00°, γ = 90.00°
With the nearest neighbours (Å) after each atom.
Fractional coordinates of all 7 atoms:
Tb1 0.2500 0.8956 0.2087  10 Ge 3.02-3.20, 1 Co 3.26
Tb2 0.7500 0.1039 0.7922  10 Ge 3.06-3.27, 4 Co 3.24
Co1 0.2500 0.6915 0.6170  5 Ge 2.29-2.34
Ge1 0.2500 0.5479 0.9042  1 Co 2.29
Ge2 0.7500 0.4460 0.1079  2 Ge 2.63
Ge3 0.2500 0.2586 0.4827  2 Co 2.34
Ge4 0.7500 0.7574 0.4852  2 Co 2.31

Among the records above, which one has the highest energy of formation from the pure elements? Na2ZnSb2